Entry 1:
This record from Materials Project describes a relaxed HoO2 crystal. The functional is GGA-PBE.

Calculated values
Its mass density is 7.28 g/cm³. The energy relative to the elements comes out at -3.18 eV/atom. As for the electronic total energy: -45.31 eV for the cell shown. Its symmetry is P2_1/m (11).

Geometry as POSCAR:
```
HoO2
1.0
4.174 0.000 0.000
0.000 3.649 0.000
-1.794 0.000 5.897
Ho O
2 4
direct
0.171 0.250 0.314 Ho
0.829 0.750 0.686 Ho
0.183 0.750 0.052 O
0.264 0.750 0.543 O
0.736 0.250 0.457 O
0.817 0.250 0.948 O
```

Entry 2:
This record from Materials Project describes a relaxed HoO3 crystal. The functional is GGA-PBE.

Calculated values
Its mass density is 5.70 g/cm³. The energy relative to the elements comes out at -2.07 eV/atom. As for the electronic total energy: -51.26 eV for the cell shown. Its symmetry is P6_3/m (176).

Geometry as POSCAR:
```
HoO3
1.0
6.488 0.000 0.000
-3.244 5.619 0.000
0.000 0.000 3.402
Ho O
2 6
direct
0.333 0.667 0.250 Ho
0.667 0.333 0.750 Ho
0.058 0.425 0.750 O
0.367 0.942 0.750 O
0.425 0.367 0.250 O
0.575 0.633 0.750 O
0.633 0.058 0.250 O
0.942 0.575 0.250 O
```

Entry 3:
This record from Materials Project describes a relaxed Ho2P4O13 crystal. The functional is GGA-PBE.

Calculated values
Its mass density is 4.12 g/cm³. The energy relative to the elements comes out at -3.17 eV/atom. As for the electronic total energy: -292.90 eV for the cell shown. Its symmetry is C222_1 (20).

Geometry as POSCAR:
```
Ho2P4O13
1.0
3.526 -8.785 0.000
3.526 8.785 0.000
0.000 0.000 8.606
Ho P O
4 8 26
direct
0.099 0.393 0.147 Ho
0.393 0.099 0.853 Ho
0.607 0.901 0.353 Ho
0.901 0.607 0.647 Ho
0.085 0.404 0.503 P
0.220 0.337 0.775 P
0.337 0.220 0.225 P
0.404 0.085 0.497 P
0.596 0.915 0.997 P
0.663 0.780 0.725 P
0.780 0.663 0.275 P
0.915 0.596 0.003 P
0.027 0.483 0.609 O
0.082 0.760 0.886 O
0.113 0.341 0.899 O
0.117 0.287 0.608 O
0.197 0.243 0.204 O
0.240 0.918 0.614 O
0.243 0.197 0.796 O
0.278 0.568 0.402 O
0.287 0.117 0.392 O
0.341 0.113 0.101 O
0.432 0.722 0.098 O
0.438 0.562 0.750 O
0.483 0.027 0.391 O
0.517 0.973 0.891 O
0.562 0.438 0.250 O
0.568 0.278 0.598 O
0.659 0.887 0.601 O
0.713 0.883 0.892 O
0.722 0.432 0.902 O
0.757 0.803 0.296 O
0.760 0.082 0.114 O
0.803 0.757 0.704 O
0.883 0.713 0.108 O
0.887 0.659 0.399 O
0.918 0.240 0.386 O
0.973 0.517 0.109 O
```

Entry 4:
This record from Materials Project describes a relaxed Ho2P4O13 crystal. The functional is GGA-PBE.

Calculated values
Its mass density is 4.34 g/cm³. The energy relative to the elements comes out at -3.14 eV/atom. As for the electronic total energy: -291.59 eV for the cell shown. Its symmetry is C2/c (15).

Geometry as POSCAR:
```
Ho2P4O13
1.0
5.982 -3.388 0.000
5.982 3.388 0.000
-3.607 0.000 12.483
Ho P O
4 8 26
direct
0.191 0.195 0.051 Ho
0.195 0.191 0.551 Ho
0.805 0.809 0.449 Ho
0.809 0.805 0.949 Ho
0.261 0.273 0.340 P
0.273 0.261 0.840 P
0.340 0.636 0.134 P
0.364 0.660 0.366 P
0.636 0.340 0.634 P
0.660 0.364 0.866 P
0.727 0.739 0.160 P
0.739 0.727 0.660 P
0.062 0.426 0.407 O
0.074 0.424 0.905 O
0.175 0.816 0.060 O
0.184 0.825 0.440 O
0.193 0.205 0.224 O
0.205 0.193 0.724 O
0.256 0.744 0.250 O
0.378 0.397 0.103 O
0.397 0.378 0.603 O
0.400 0.407 0.347 O
0.407 0.400 0.847 O
0.424 0.074 0.405 O
0.426 0.062 0.907 O
0.574 0.938 0.093 O
0.576 0.926 0.595 O
0.593 0.600 0.153 O
0.600 0.593 0.653 O
0.603 0.622 0.397 O
0.622 0.603 0.897 O
0.744 0.256 0.750 O
0.795 0.807 0.276 O
0.807 0.795 0.776 O
0.816 0.175 0.560 O
0.825 0.184 0.940 O
0.926 0.576 0.095 O
0.938 0.574 0.593 O
```

Entry 5:
This record from Materials Project describes a relaxed HoPO4 crystal. The functional is GGA-PBE.

Calculated values
Its mass density is 5.94 g/cm³. The energy relative to the elements comes out at -3.51 eV/atom. As for the electronic total energy: -96.19 eV for the cell shown. Its symmetry is I4_1/amd (141).

Geometry as POSCAR:
```
HoPO4
1.0
-3.469 3.469 3.020
3.469 -3.469 3.020
3.469 3.469 -3.020
Ho P O
2 2 8
direct
0.375 0.625 0.750 Ho
0.625 0.375 0.250 Ho
0.125 0.875 0.250 P
0.875 0.125 0.750 P
0.139 0.714 0.425 O
0.211 0.286 0.925 O
0.286 0.211 0.425 O
0.286 0.861 0.075 O
0.714 0.139 0.925 O
0.714 0.789 0.575 O
0.789 0.714 0.075 O
0.861 0.286 0.575 O
```

Entry 6:
This record from Materials Project describes a relaxed HoP5O14 crystal. The functional is GGA-PBE.

Calculated values
Its mass density is 3.50 g/cm³. The energy relative to the elements comes out at -2.82 eV/atom. As for the electronic total energy: -591.13 eV for the cell shown. Its symmetry is Pnma (62).

Geometry as POSCAR:
```
HoP5O14
1.0
8.807 0.000 0.000
0.000 12.807 0.000
0.000 0.000 9.143
Ho P O
4 20 56
direct
0.021 0.250 0.056 Ho
0.479 0.750 0.556 Ho
0.521 0.250 0.444 Ho
0.979 0.750 0.944 Ho
0.009 0.582 0.295 P
0.009 0.918 0.295 P
0.073 0.750 0.504 P
0.243 0.570 0.773 P
0.243 0.930 0.773 P
0.257 0.070 0.273 P
0.257 0.430 0.273 P
0.427 0.250 0.004 P
0.491 0.082 0.795 P
0.491 0.418 0.795 P
0.509 0.582 0.205 P
0.509 0.918 0.205 P
0.573 0.750 0.996 P
0.743 0.570 0.727 P
0.743 0.930 0.727 P
0.757 0.070 0.227 P
0.757 0.430 0.227 P
0.927 0.250 0.496 P
0.991 0.082 0.705 P
0.991 0.418 0.705 P
0.009 0.635 0.152 O
0.009 0.865 0.152 O
0.024 0.153 0.568 O
0.024 0.347 0.568 O
0.038 0.750 0.662 O
0.115 0.505 0.681 O
0.115 0.995 0.681 O
0.158 0.120 0.161 O
0.158 0.380 0.161 O
0.163 0.527 0.343 O
0.163 0.973 0.343 O
0.171 0.629 0.894 O
0.171 0.871 0.894 O
0.230 0.750 0.442 O
0.270 0.250 0.942 O
0.329 0.129 0.394 O
0.329 0.371 0.394 O
0.337 0.027 0.843 O
0.337 0.473 0.843 O
0.342 0.620 0.661 O
0.342 0.880 0.661 O
0.385 0.005 0.181 O
0.385 0.495 0.181 O
0.462 0.250 0.162 O
0.476 0.653 0.068 O
0.476 0.847 0.068 O
0.491 0.135 0.652 O
0.491 0.365 0.652 O
0.509 0.635 0.348 O
0.509 0.865 0.348 O
0.524 0.153 0.932 O
0.524 0.347 0.932 O
0.538 0.750 0.838 O
0.615 0.505 0.819 O
0.615 0.995 0.819 O
0.658 0.120 0.339 O
0.658 0.380 0.339 O
0.663 0.527 0.157 O
0.663 0.973 0.157 O
0.671 0.629 0.606 O
0.671 0.871 0.606 O
0.730 0.750 0.058 O
0.770 0.250 0.558 O
0.829 0.129 0.106 O
0.829 0.371 0.106 O
0.837 0.027 0.657 O
0.837 0.473 0.657 O
0.842 0.620 0.839 O
0.842 0.880 0.839 O
0.885 0.005 0.319 O
0.885 0.495 0.319 O
0.962 0.250 0.338 O
0.976 0.653 0.432 O
0.976 0.847 0.432 O
0.991 0.135 0.848 O
0.991 0.365 0.848 O
```